This record from the Materials Project describes a geometry-optimized Na2SiBiBO7 structure. The functional is PBE.

ρ in Mg/m³: 3.811
E in eV/atom: -6.31
DFT formation energy in eV/atom: -2.28
Magnetization in μB per cell: 0.006

a b c (Å): 5.4383 6.9090 9.4148
angles (deg): 90.00 90.91 90.00
Atoms (fractional coordinates):
Na  0.2345  0.0007  0.2905
Na  0.2345  0.4993  0.2905
Na  0.7655  0.5007  0.7095
Na  0.7655  0.9993  0.7095
Si  0.2825  0.7500  0.9270
Si  0.7175  0.2500  0.0730
Bi  0.2201  0.2500  0.8462
Bi  0.7799  0.7500  0.1538
B  0.2716  0.2500  0.5691
B  0.7284  0.7500  0.4309
O  0.0424  0.2500  0.6411
O  0.1592  0.7500  0.0865
O  0.1977  0.5619  0.8329
O  0.1977  0.9381  0.8329
O  0.3027  0.2500  0.4307
O  0.4116  0.2500  0.0484
O  0.4725  0.2500  0.6731
O  0.5275  0.7500  0.3269
O  0.5884  0.7500  0.9516
O  0.6973  0.7500  0.5693
O  0.8023  0.0619  0.1671
O  0.8023  0.4381  0.1671
O  0.8408  0.2500  0.9135
O  0.9576  0.7500  0.3589

---

This record from the Materials Project describes a geometry-optimized Ba2Zr7O16 structure. The functional is PBE.

ρ in Mg/m³: 5.674
E in eV/atom: -8.99
DFT formation energy in eV/atom: -3.72
Magnetization in μB per cell: 0.000

a b c (Å): 9.9187 9.9187 9.9187
angles (deg): 38.66 38.66 38.66
Atoms (fractional coordinates):
Ba  0.1665  0.1665  0.1665
Ba  0.8335  0.8335  0.8335
Zr  0.0133  0.3854  0.7519
Zr  0.2481  0.9867  0.6146
Zr  0.3854  0.7519  0.0133
Zr  0.5000  0.5000  0.5000
Zr  0.6146  0.2481  0.9867
Zr  0.7519  0.0133  0.3854
Zr  0.9867  0.6146  0.2481
O  0.0684  0.0684  0.0684
O  0.0846  0.6533  0.3502
O  0.1851  0.4615  0.7185
O  0.2661  0.2661  0.2661
O  0.2815  0.8149  0.5385
O  0.3467  0.6498  0.9154
O  0.3502  0.0846  0.6533
O  0.4615  0.7185  0.1851
O  0.5385  0.2815  0.8149
O  0.6498  0.9154  0.3467
O  0.6533  0.3502  0.0846
O  0.7185  0.1851  0.4615
O  0.7339  0.7339  0.7339
O  0.8149  0.5385  0.2815
O  0.9154  0.3467  0.6498
O  0.9316  0.9316  0.9316

---

This record from the Materials Project describes a geometry-optimized Y3TlF10 structure. The functional is PBE.

ρ in Mg/m³: 5.384
E in eV/atom: -6.70
DFT formation energy in eV/atom: -4.10

a b c (Å): 8.3306 8.3306 13.5699
angles (deg): 90.00 90.00 120.00
Atoms (fractional coordinates):
Y  0.0113  0.5057  0.0000
Y  0.1741  0.3482  0.2423
Y  0.1741  0.8259  0.2423
Y  0.3482  0.1741  0.7423
Y  0.4943  0.5057  0.0000
Y  0.4943  0.9887  0.0000
Y  0.5057  0.0113  0.5000
Y  0.5057  0.4943  0.5000
Y  0.6518  0.8259  0.2423
Y  0.8259  0.1741  0.7423
Y  0.8259  0.6518  0.7423
Y  0.9887  0.4943  0.5000
Tl  0.0000  0.0000  0.0076
Tl  0.0000  0.0000  0.5076
Tl  0.3333  0.6667  0.7471
Tl  0.6667  0.3333  0.2471
F  0.0036  0.3403  0.3701
F  0.0036  0.6633  0.3701
F  0.0435  0.5217  0.1753
F  0.1091  0.2181  0.7072
F  0.1091  0.8909  0.7072
F  0.1852  0.3705  0.0652
F  0.1852  0.8148  0.0652
F  0.2181  0.1091  0.2072
F  0.2231  0.4462  0.5358
F  0.2231  0.7769  0.5358
F  0.3333  0.6667  0.2899
F  0.3333  0.6667  0.9562
F  0.3367  0.3403  0.3701
F  0.3367  0.9964  0.3701
F  0.3403  0.0036  0.8701
F  0.3403  0.3367  0.8701
F  0.3705  0.1852  0.5652
F  0.4462  0.2231  0.0358
F  0.4783  0.5217  0.1753
F  0.4783  0.9565  0.1753
F  0.5217  0.0435  0.6753
F  0.5217  0.4783  0.6753
F  0.5538  0.7769  0.5358
F  0.6295  0.8148  0.0652
F  0.6597  0.6633  0.3701
F  0.6597  0.9964  0.3701
F  0.6633  0.0036  0.8701
F  0.6633  0.6597  0.8701
F  0.6667  0.3333  0.4562
F  0.6667  0.3333  0.7899
F  0.7769  0.2231  0.0358
F  0.7769  0.5538  0.0358
F  0.7819  0.8909  0.7072
F  0.8148  0.1852  0.5652
F  0.8148  0.6295  0.5652
F  0.8909  0.1091  0.2072
F  0.8909  0.7819  0.2072
F  0.9565  0.4783  0.6753
F  0.9964  0.3367  0.8701
F  0.9964  0.6597  0.8701